[1]
K3HoCl6 | PBE | optimized geometry

a = 7.8911 Å, b = 7.8911 Å, c = 7.8911 Å
α = 60.00°, β = 60.00°, γ = 60.00°
Positions (direct):
Ho: 0.0000 0.0000 0.0000
K: 0.2500 0.2500 0.2500
K: 0.7500 0.7500 0.7500
Cl: 0.2348 0.7652 0.7652
Cl: 0.2348 0.7652 0.2348
Cl: 0.7652 0.7652 0.2348
Cl: 0.7652 0.2348 0.7652
K: 0.5000 0.5000 0.5000
Cl: 0.2348 0.2348 0.7652
Cl: 0.7652 0.2348 0.2348

## Properties
M_tot, μB/f.u.: 0.00

[2]
NaHoCl4 | PBE | optimized geometry

a = 6.6555 Å, b = 6.7453 Å, c = 7.0420 Å
α = 89.28°, β = 87.75°, γ = 78.36°
Positions (direct):
Na: 0.7685 0.8022 0.4646
Cl: 0.0466 0.5030 0.2400
Cl: 0.4349 0.3142 0.8820
Cl: 0.6124 0.2075 0.3644
Cl: 0.0965 0.0017 0.2046
Ho: 0.2109 0.7001 0.9451
Cl: 0.3876 0.7925 0.6356
Cl: 0.9035 0.9983 0.7954
Cl: 0.9534 0.4970 0.7600
Na: 0.2315 0.1978 0.5354
Ho: 0.7891 0.2999 0.0549
Cl: 0.5651 0.6858 0.1180

[3]
Na3HoCl6 | PBE | optimized geometry

a = 7.3140 Å, b = 6.9176 Å, c = 12.3063 Å
α = 56.56°, β = 90.00°, γ = 90.00°
Positions (direct):
Na: 0.4237 0.7156 0.7600
Cl: 0.5648 0.0997 0.7623
Na: 0.0763 0.7156 0.2600
Cl: 0.1783 0.6225 0.5642
Cl: 0.1960 0.2467 0.9214
Na: 0.5000 0.5000 0.5000
Cl: 0.6960 0.7533 0.5786
Ho: 0.5000 0.0000 0.0000
Na: 0.0000 0.5000 0.0000
Ho: 0.0000 0.0000 0.5000
Na: 0.9237 0.2844 0.7400
Cl: 0.6783 0.3775 0.9358
Cl: 0.0648 0.9003 0.7377
Cl: 0.4352 0.9003 0.2377
Cl: 0.3217 0.6225 0.0642
Cl: 0.8040 0.7533 0.0786
Cl: 0.9352 0.0997 0.2623
Na: 0.5763 0.2844 0.2400
Cl: 0.8217 0.3775 0.4358
Cl: 0.3040 0.2467 0.4214

[4]
HoClO2 | PBE | optimized geometry

a = 3.5656 Å, b = 6.2394 Å, c = 6.3635 Å
α = 69.77°, β = 90.00°, γ = 90.00°
Positions (direct):
O: 0.2500 0.5789 0.5598
O: 0.7500 0.4211 0.4402
O: 0.7500 0.9479 0.6277
Ho: 0.2500 0.1898 0.6592
O: 0.2500 0.0521 0.3723
Cl: 0.7500 0.2412 0.9729
Cl: 0.2500 0.7588 0.0271
Ho: 0.7500 0.8102 0.3408

## Properties
M_tot, μB/f.u.: 1.03

[5]
HoSeClO3 | PBE | optimized geometry

a = 6.9893 Å, b = 7.2797 Å, c = 8.8556 Å
α = 90.00°, β = 90.00°, γ = 90.00°
Positions (direct):
Ho: 0.2500 0.1044 0.9610
O: 0.4278 0.3591 0.4325
Se: 0.7500 0.7908 0.6333
Cl: 0.7500 0.0588 0.3172
O: 0.5722 0.6409 0.5675
Cl: 0.2500 0.4412 0.8172
O: 0.0722 0.3591 0.4325
Cl: 0.7500 0.5588 0.1828
Se: 0.2500 0.7092 0.1333
O: 0.2500 0.7522 0.3221
Ho: 0.7500 0.8956 0.0390
O: 0.0722 0.8591 0.0675
O: 0.9278 0.1409 0.9325
Cl: 0.2500 0.9412 0.6828
Se: 0.2500 0.2092 0.3667
O: 0.2500 0.2522 0.1779
O: 0.9278 0.6409 0.5675
Ho: 0.2500 0.6044 0.5390
O: 0.7500 0.7478 0.8221
O: 0.4278 0.8591 0.0675
Ho: 0.7500 0.3956 0.4610
Se: 0.7500 0.2908 0.8667
O: 0.7500 0.2478 0.6779
O: 0.5722 0.1409 0.9325

## Properties
M_tot, μB/f.u.: 0.00

[6]
HoTiClO3 | PBE | optimized geometry

a = 5.2859 Å, b = 5.2859 Å, c = 9.9036 Å
α = 74.35°, β = 74.35°, γ = 43.39°
Positions (direct):
Cl: 0.3850 0.3850 0.9057
Ti: 0.1185 0.1185 0.5696
Ho: 0.2787 0.2787 0.2060
O: 0.9213 0.9213 0.6250
O: 0.0787 0.0787 0.3750
O: 0.6672 0.6672 0.5644
Cl: 0.6150 0.6150 0.0943
Ho: 0.7213 0.7213 0.7940
O: 0.1517 0.1517 0.7470
O: 0.8483 0.8483 0.2530
Ti: 0.8815 0.8815 0.4304
O: 0.3328 0.3328 0.4356

## Properties
M_tot, μB/f.u.: 0.00

[7]
ICl | PBE | optimized geometry

a = 5.3907 Å, b = 11.6139 Å, c = 12.5242 Å
α = 66.63°, β = 90.00°, γ = 90.00°
Positions (direct):
Cl: 0.3211 0.3318 0.5562
I: 0.6372 0.6083 0.8038
Cl: 0.6789 0.6682 0.4438
I: 0.4033 0.8540 0.7137
I: 0.3628 0.3917 0.1962
Cl: 0.3509 0.1092 0.1093
I: 0.5967 0.1460 0.2863
I: 0.9033 0.6460 0.2863
I: 0.8628 0.1083 0.8038
Cl: 0.6491 0.8908 0.8907
I: 0.0967 0.3540 0.7137
Cl: 0.1789 0.8318 0.5562
Cl: 0.8509 0.3908 0.8907
I: 0.1372 0.8917 0.1962
Cl: 0.8211 0.1682 0.4438
Cl: 0.1491 0.6092 0.1093

[8]
ICl | PBE | optimized geometry

a = 8.4855 Å, b = 8.9051 Å, c = 9.3442 Å
α = 85.72°, β = 90.00°, γ = 90.00°
Positions (direct):
I: 0.1175 0.7456 0.4863
I: 0.4759 0.3679 0.2004
Cl: 0.7922 0.6087 0.8865
I: 0.8825 0.2544 0.5137
I: 0.0241 0.8679 0.2004
Cl: 0.7078 0.1087 0.8865
I: 0.5241 0.6321 0.7996
I: 0.6175 0.7544 0.5137
Cl: 0.2078 0.3913 0.1135
Cl: 0.2048 0.6353 0.7352
Cl: 0.7048 0.8647 0.2648
Cl: 0.2922 0.8913 0.1135
I: 0.3825 0.2456 0.4863
I: 0.9759 0.1321 0.7996
Cl: 0.2952 0.1353 0.7352
Cl: 0.7952 0.3647 0.2648

[9]
ICl3 | PBE | optimized geometry

a = 6.0173 Å, b = 6.2388 Å, c = 8.8397 Å
α = 71.27°, β = 84.61°, γ = 85.57°
Positions (direct):
Cl: 0.4425 0.2580 0.2043
Cl: 0.2090 0.7435 0.4496
I: 0.8204 0.0006 0.8164
Cl: 0.5575 0.7420 0.7957
Cl: 0.1213 0.2638 0.8750
Cl: 0.7910 0.2565 0.5504
Cl: 0.8787 0.7362 0.1250
I: 0.1796 0.9994 0.1836

## Properties
M_tot, μB/f.u.: 0.00

[10]
ICl | PBE | optimized geometry

a = 4.8670 Å, b = 12.9452 Å, c = 13.2984 Å
α = 74.83°, β = 90.00°, γ = 90.00°
Positions (direct):
I: 0.4044 0.7038 0.6553
I: 0.8750 0.8049 0.3149
Cl: 0.3994 0.4465 0.3891
I: 0.1250 0.1951 0.6851
Cl: 0.1006 0.4465 0.8891
I: 0.3750 0.1951 0.1851
I: 0.9044 0.2962 0.8447
I: 0.0956 0.7038 0.1553
I: 0.5956 0.2962 0.3447
Cl: 0.1755 0.0728 0.5760
Cl: 0.6006 0.5535 0.6109
Cl: 0.8994 0.5535 0.1109
I: 0.6250 0.8049 0.8149
Cl: 0.6755 0.9272 0.9240
Cl: 0.8245 0.9272 0.4240
Cl: 0.3245 0.0728 0.0760

## Properties
M_tot, μB/f.u.: 0.00

[11]
KICl4 | PBE | optimized geometry

a = 13.8998 Å, b = 5.0933 Å, c = 13.3971 Å
α = 75.88°, β = 90.00°, γ = 90.00°
Positions (direct):
Cl: 0.3836 0.7252 0.5365
K: 0.8428 0.3580 0.4152
I: 0.9350 0.2032 0.7948
Cl: 0.9898 0.1429 0.6127
Cl: 0.0922 0.4286 0.8139
Cl: 0.7724 0.9874 0.7767
Cl: 0.9078 0.5714 0.1861
Cl: 0.4898 0.8571 0.8873
I: 0.0650 0.7968 0.2052
Cl: 0.1164 0.7252 0.0365
Cl: 0.5922 0.5714 0.6861
I: 0.5650 0.2032 0.2948
Cl: 0.2276 0.0126 0.2233
Cl: 0.4078 0.4286 0.3139
K: 0.3428 0.6420 0.0848
Cl: 0.7276 0.9874 0.2767
Cl: 0.5102 0.1429 0.1127
Cl: 0.2724 0.0126 0.7233
Cl: 0.8836 0.2748 0.9635
I: 0.4350 0.7968 0.7052
K: 0.1572 0.6420 0.5848
K: 0.6572 0.3580 0.9152
Cl: 0.6164 0.2748 0.4635
Cl: 0.0102 0.8571 0.3873

[12]
K2I2ClO6 | PBE | optimized geometry

a = 6.5997 Å, b = 8.7362 Å, c = 15.3482 Å
α = 90.00°, β = 90.00°, γ = 90.00°
Positions (direct):
K: 0.9761 0.9786 0.5157
I: 0.9303 0.7475 0.7831
K: 0.0239 0.9786 0.0157
O: 0.2638 0.2024 0.4631
O: 0.3489 0.7946 0.8684
O: 0.4431 0.5373 0.4419
I: 0.4814 0.2340 0.5324
O: 0.6511 0.7946 0.3684
O: 0.0106 0.0476 0.1930
K: 0.0239 0.4786 0.4843
I: 0.4814 0.7340 0.9676
I: 0.9303 0.2475 0.7169
I: 0.5186 0.7340 0.4676
Cl: 0.2231 0.2206 0.8758
I: 0.0697 0.2475 0.2169
Cl: 0.7769 0.2206 0.3758
O: 0.2638 0.7024 0.0369
O: 0.7025 0.7337 0.7193
K: 0.5544 0.9893 0.2352
O: 0.5569 0.0373 0.5581
O: 0.6511 0.2946 0.1316
O: 0.8241 0.8163 0.8882
O: 0.7025 0.2337 0.7807
I: 0.0697 0.7475 0.2831
Cl: 0.2231 0.7206 0.6242
O: 0.2975 0.2337 0.2807
I: 0.5186 0.2340 0.0324
O: 0.9894 0.0476 0.6930
O: 0.2975 0.7337 0.2193
O: 0.9894 0.5476 0.8070
O: 0.7362 0.7024 0.5369
O: 0.8241 0.3163 0.6118
Cl: 0.7769 0.7206 0.1242
K: 0.5544 0.4893 0.2648
O: 0.1759 0.3163 0.1118
O: 0.1759 0.8163 0.3882
O: 0.3489 0.2946 0.6316
O: 0.0106 0.5476 0.3070
K: 0.9761 0.4786 0.9843
K: 0.4456 0.4893 0.7648
O: 0.4431 0.0373 0.0581
K: 0.4456 0.9893 0.7352
O: 0.5569 0.5373 0.9419
O: 0.7362 0.2024 0.9631

## Properties
M_tot, μB/f.u.: 0.02

| no. | ΔE_f (eV/atom) | mass density (g/cm³) |
| --- | --- | --- |
| 1 | -2.43 | 2.365 |
| 2 | -2.52 | 3.539 |
| 3 | -2.37 | 2.855 |
| 4 | -2.09 | 5.810 |
| 5 | -2.39 | 4.826 |
| 6 | -3.44 | 5.409 |
| 7 | -0.46 | 2.996 |
| 8 | -0.46 | 3.063 |
| 9 | -0.66 | 2.479 |
| 10 | -0.36 | 2.667 |
| 11 | -1.22 | 2.223 |
| 12 | -1.16 | 3.479 |